Entry 1:
Computed, not measured: a geometry-optimized CeHo3S6 structure at the PBE level of DFT. Values from VASP.

Quantum ESPRESSO input file:
```
&SYSTEM
  ibrav = 0, nat = 20, ntyp = 3
/
ATOMIC_SPECIES
Ce 140.12 Ce.upf
Ho 164.93 Ho.upf
S 32.06 S.upf
ATOMIC_POSITIONS crystal
Ce 0.7500 0.5496 0.8060
Ce 0.2500 0.4504 0.1940
Ho 0.7500 0.1798 0.9997
Ho 0.2500 0.8202 0.0003
Ho 0.7500 0.9428 0.6667
Ho 0.2500 0.0572 0.3333
Ho 0.7500 0.6602 0.4138
Ho 0.2500 0.3398 0.5862
S 0.7500 0.9790 0.8881
S 0.2500 0.0210 0.1119
S 0.7500 0.3042 0.7499
S 0.2500 0.6958 0.2501
S 0.7500 0.8929 0.4427
S 0.2500 0.1071 0.5573
S 0.7500 0.4186 0.4046
S 0.2500 0.5814 0.5954
S 0.7500 0.2337 0.2298
S 0.2500 0.7663 0.7702
S 0.7500 0.6177 0.0369
S 0.2500 0.3823 0.9631
CELL_PARAMETERS angstrom
-2.4733 -2.1693 -2.2381
2.6302 -9.0401 5.8559
-7.1313 -0.8933 8.7468
```


Entry 2:
Computed, not measured: a geometry-optimized CeI3 structure at the PBE level of DFT. Values from VASP.

Quantum ESPRESSO input file:
```
&SYSTEM
  ibrav = 0, nat = 8, ntyp = 2
/
ATOMIC_SPECIES
Ce 140.12 Ce.upf
I 126.90 I.upf
ATOMIC_POSITIONS crystal
Ce 0.6667 0.3333 0.2500
Ce 0.3333 0.6667 0.7500
I 0.4167 0.2084 0.7500
I 0.7916 0.2084 0.7500
I 0.2084 0.4167 0.2500
I 0.5833 0.7916 0.2500
I 0.2084 0.7916 0.2500
I 0.7916 0.5833 0.7500
CELL_PARAMETERS angstrom
5.5040 -9.5331 0.0000
5.5040 9.5331 0.0000
0.0000 0.0000 4.1384
```


Entry 3:
Computed, not measured: a geometry-optimized CeI3 structure at the PBE level of DFT. Values from VASP.

Quantum ESPRESSO input file:
```
&SYSTEM
  ibrav = 0, nat = 8, ntyp = 2
/
ATOMIC_SPECIES
Ce 140.12 Ce.upf
I 126.90 I.upf
ATOMIC_POSITIONS crystal
Ce 0.2572 0.7428 0.2500
Ce 0.7428 0.2572 0.7500
I 0.6517 0.3483 0.0670
I 0.3483 0.6517 0.9330
I 0.3483 0.6517 0.5670
I 0.6517 0.3483 0.4330
I 0.9089 0.0911 0.2500
I 0.0911 0.9089 0.7500
CELL_PARAMETERS angstrom
2.1751 -7.5581 0.0000
2.1751 7.5581 0.0000
0.0000 0.0000 10.1796
```


| no. | formation energy (eV/atom) | V (Å³/atom) |
| --- | --- | --- |
| 1 | -2.370 | 23.63 |
| 2 | -1.634 | 54.28 |
| 3 | -1.683 | 41.84 |